# 1
# GGA+U Rb2UCr2O10, relaxed
data_Rb2UCr2O10
_space_group_name_H-M_alt 'P 1'
_space_group_IT_number 1
_cell_length_a 8.371
_cell_length_b 10.732
_cell_length_c 13.910
_cell_angle_alpha 102.57
_cell_angle_beta 106.61
_cell_angle_gamma 93.65
loop_
_space_group_symop_operation_xyz
'x,y,z'
loop_
_atom_site_label
_atom_site_type_symbol
_atom_site_fract_x
_atom_site_fract_y
_atom_site_fract_z
O1 O 0.430 0.424 0.352
O2 O 0.402 0.252 0.016
O3 O 0.219 0.558 0.173
Rb1 Rb 0.940 0.501 0.667
O4 O 0.476 0.538 0.086
O5 O 0.524 0.462 0.914
O6 O 0.340 0.026 0.604
O7 O 0.014 0.252 0.754
O8 O 0.238 0.518 0.569
O9 O 0.276 0.838 0.923
O10 O 0.724 0.162 0.077
Rb2 Rb 0.628 0.763 0.507
O11 O 0.598 0.748 0.984
Cr1 Cr 0.609 0.366 0.830
O12 O 0.190 0.937 0.749
Cr2 Cr 0.609 0.381 0.344
O13 O 0.238 0.942 0.292
O14 O 0.242 0.789 0.427
Rb3 Rb 0.628 0.961 0.855
Cr3 Cr 0.123 0.857 0.337
O15 O 0.371 0.624 0.777
O16 O 0.475 0.311 0.716
O17 O 0.762 0.058 0.708
Rb4 Rb 0.060 0.499 0.333
O18 O 0.994 0.237 0.450
O19 O 0.933 0.978 0.090
O20 O 0.969 0.044 0.584
O21 O 0.781 0.442 0.827
O22 O 0.810 0.063 0.251
O23 O 0.629 0.376 0.223
O24 O 0.067 0.022 0.910
Rb5 Rb 0.372 0.237 0.493
O25 O 0.525 0.689 0.284
Cr4 Cr 0.391 0.619 0.656
O26 O 0.345 0.751 0.105
U1 U 0.391 0.652 0.945
O27 O 0.986 0.748 0.246
O28 O 0.660 0.974 0.396
O29 O 0.954 0.786 0.791
O30 O 0.762 0.482 0.431
U2 U 0.827 0.104 0.421
O31 O 0.758 0.211 0.573
O32 O 0.570 0.576 0.648
Cr5 Cr 0.391 0.634 0.170
U3 U 0.609 0.348 0.055
O33 O 0.617 0.230 0.364
O34 O 0.383 0.770 0.636
Rb6 Rb 0.948 0.692 0.028
Rb7 Rb 0.372 0.039 0.145
O35 O 0.655 0.249 0.895
Cr6 Cr 0.118 0.896 0.842
O36 O 0.046 0.214 0.209
O37 O 0.031 0.956 0.416
Rb8 Rb 0.052 0.308 0.972
O38 O 0.818 0.442 0.092
Cr7 Cr 0.882 0.104 0.158
Cr8 Cr 0.877 0.143 0.663
O39 O 0.182 0.558 0.908
O40 O 0.006 0.763 0.550
U4 U 0.173 0.896 0.579
# - Volume: 19.30 A^3/atom

# 2
# GGA+U Sr2CrReO6, relaxed
data_Sr2CrReO6
_space_group_name_H-M_alt 'P 1'
_space_group_IT_number 1
_cell_length_a 5.607
_cell_length_b 5.607
_cell_length_c 5.607
_cell_angle_alpha 60.00
_cell_angle_beta 60.00
_cell_angle_gamma 60.00
loop_
_space_group_symop_operation_xyz
'x,y,z'
loop_
_atom_site_label
_atom_site_type_symbol
_atom_site_fract_x
_atom_site_fract_y
_atom_site_fract_z
O1 O 0.751 0.751 0.249
Sr1 Sr 0.750 0.750 0.750
Sr2 Sr 0.250 0.250 0.250
O2 O 0.751 0.249 0.249
O3 O 0.249 0.249 0.751
Re1 Re 0.000 0.000 0.000
O4 O 0.249 0.751 0.249
O5 O 0.751 0.249 0.751
Cr1 Cr 0.500 0.500 0.500
O6 O 0.249 0.751 0.751
# - Volume: 12.47 A^3/atom

# 3
# GGA+U CrRhO3, relaxed
data_CrRhO3
_space_group_name_H-M_alt 'P 1'
_space_group_IT_number 1
_cell_length_a 3.917
_cell_length_b 3.917
_cell_length_c 3.917
_cell_angle_alpha 90.00
_cell_angle_beta 90.00
_cell_angle_gamma 90.00
loop_
_space_group_symop_operation_xyz
'x,y,z'
loop_
_atom_site_label
_atom_site_type_symbol
_atom_site_fract_x
_atom_site_fract_y
_atom_site_fract_z
Cr1 Cr 0.000 0.000 0.000
Rh1 Rh 0.500 0.500 0.500
O1 O 0.000 0.500 0.500
O2 O 0.500 0.500 0.000
O3 O 0.500 0.000 0.500
# - Volume: 12.02 A^3/atom

# 4
# GGA+U CrSO4, relaxed
data_CrSO4
_space_group_name_H-M_alt 'P 1'
_space_group_IT_number 1
_cell_length_a 4.845
_cell_length_b 9.014
_cell_length_c 6.990
_cell_angle_alpha 89.99
_cell_angle_beta 89.98
_cell_angle_gamma 96.85
loop_
_space_group_symop_operation_xyz
'x,y,z'
loop_
_atom_site_label
_atom_site_type_symbol
_atom_site_fract_x
_atom_site_fract_y
_atom_site_fract_z
O1 O 0.433 0.660 0.750
O2 O 0.632 0.877 0.574
O3 O 0.632 0.877 0.926
O4 O 0.868 0.623 0.426
O5 O 0.868 0.623 0.074
Cr1 Cr 0.000 0.000 0.000
O6 O 0.068 0.840 0.250
O7 O 0.295 0.612 0.250
O8 O 0.132 0.377 0.926
O9 O 0.368 0.123 0.426
Cr2 Cr 0.500 0.500 0.000
S1 S 0.519 0.173 0.250
Cr3 Cr 0.000 0.000 0.500
O10 O 0.568 0.340 0.250
S2 S 0.019 0.673 0.250
O11 O 0.933 0.160 0.750
S3 S 0.981 0.327 0.750
O12 O 0.795 0.112 0.250
O13 O 0.705 0.388 0.750
S4 S 0.481 0.827 0.750
O14 O 0.132 0.377 0.574
O15 O 0.368 0.123 0.074
Cr4 Cr 0.500 0.500 0.500
O16 O 0.205 0.888 0.750
# - Distance to the lowest polymorph of the same formula: 15.0 meV per atom
# - Volume: 12.63 A^3/atom

| no. | formation enthalpy at 0 K (eV/atom) |
| --- | --- |
| 1 | -2.39 |
| 2 | -2.67 |
| 3 | -0.76 |
| 4 | -1.97 |